# 1
TiGaPt | PBE-GGA | relaxed

a = 4.4160 Å, b = 4.4160 Å, c = 5.5157 Å
α = 90.00°, β = 90.00°, γ = 120.00°
With the nearest neighbours (Å) after each atom.
Element x y z (fractional)
Ti  0.0000  0.0000  0.0000  2 Ti 2.76, 6 Pt 2.90, 6 Ga 2.90
Ti  0.0000  0.0000  0.5000  2 Ti 2.76, 6 Pt 2.90, 6 Ga 2.90
Ga  0.3333  0.6667  0.2500  5 Pt 2.55-2.76
Ga  0.6667  0.3333  0.7500  5 Pt 2.55-2.76
Pt  0.3333  0.6667  0.7500  5 Ga 2.55-2.76
Pt  0.6667  0.3333  0.2500  5 Ga 2.55-2.76

Properties
- ΔE_f: -2.44 eV per formula unit
- Space-group type: P6_3/mmc

***

# 2
Na2LiAlH6 | PBE-GGA | relaxed

a = 5.1831 Å, b = 5.2350 Å, c = 9.0011 Å
α = 90.00°, β = 125.14°, γ = 90.00°
With the nearest neighbours (Å) after each atom.
Element x y z (fractional)
Na  0.2446  0.0260  0.2502  7 H 2.30-2.58
Na  0.2446  0.4740  0.7502  7 H 2.30-2.58
Na  0.7554  0.5260  0.2498  7 H 2.30-2.58
Na  0.7554  0.9740  0.7498  7 H 2.30-2.58
Li  0.5000  0.0000  0.0000  6 H 1.98-1.99
Li  0.5000  0.5000  0.5000  6 H 1.98-1.99
Al  0.0000  0.0000  0.5000  6 H 1.76
Al  0.0000  0.5000  0.0000  6 H 1.76
H  0.1646  0.2319  0.9644  1 Al 1.76
H  0.1646  0.2681  0.4644  1 Al 1.76
H  0.2367  0.7029  0.9685  1 Al 1.76
H  0.2367  0.7971  0.4685  1 Al 1.76
H  0.2986  0.0165  0.7351  1 Al 1.76
H  0.2986  0.4835  0.2351  1 Al 1.76
H  0.7014  0.5165  0.7649  1 Al 1.76
H  0.7014  0.9835  0.2649  1 Al 1.76
H  0.7633  0.2029  0.5315  1 Al 1.76
H  0.7633  0.2971  0.0315  1 Al 1.76
H  0.8354  0.7319  0.5356  1 Al 1.76
H  0.8354  0.7681  0.0356  1 Al 1.76

Properties
- ΔE_f: -3.22 eV per formula unit
- E (MP2020): -3.188 eV per atom
- Space-group type: P2_1/c

***

# 3
Ba3La2Cl12 | PBE-GGA | relaxed

a = 11.7599 Å, b = 11.7599 Å, c = 7.1645 Å
α = 90.00°, β = 90.00°, γ = 90.00°
With the nearest neighbours (Å) after each atom.
Element x y z (fractional)
Ba  0.0000  0.0000  0.0000  8 Cl 3.20
Ba  0.1824  0.3176  0.5000  12 Cl 3.44-3.58
Ba  0.3176  0.8176  0.5000  12 Cl 3.44-3.58
Ba  0.5000  0.5000  0.0000  8 Cl 3.20
Ba  0.6824  0.1824  0.5000  12 Cl 3.44-3.58
Ba  0.8176  0.6824  0.5000  12 Cl 3.44-3.58
La  0.1360  0.6360  0.0000  7 Cl 2.81-2.91
La  0.3640  0.1360  0.0000  7 Cl 2.81-2.91
La  0.6360  0.8640  0.0000  7 Cl 2.81-2.91
La  0.8640  0.3640  0.0000  7 Cl 2.81-2.91
Cl  0.0000  0.5000  0.2563  2 La 2.91
Cl  0.0000  0.5000  0.7437  2 La 2.91
Cl  0.0616  0.7921  0.2704  1 La 2.81
Cl  0.0616  0.7921  0.7296  1 La 2.81
Cl  0.1889  0.3111  0.0000  1 La 2.91
Cl  0.2079  0.0616  0.2704  1 La 2.81
Cl  0.2079  0.0616  0.7296  1 La 2.81
Cl  0.2921  0.5616  0.2704  1 La 2.81
Cl  0.2921  0.5616  0.7296  1 La 2.81
Cl  0.3111  0.8111  0.0000  1 La 2.91
Cl  0.4384  0.2921  0.2704  1 La 2.81
Cl  0.4384  0.2921  0.7296  1 La 2.81
Cl  0.5000  0.0000  0.2563  2 La 2.91
Cl  0.5000  0.0000  0.7437  2 La 2.91
Cl  0.5616  0.7079  0.2704  1 La 2.81
Cl  0.5616  0.7079  0.7296  1 La 2.81
Cl  0.6889  0.1889  0.0000  1 La 2.91
Cl  0.7079  0.4384  0.2704  1 La 2.81
Cl  0.7079  0.4384  0.7296  1 La 2.81
Cl  0.7921  0.9384  0.2704  1 La 2.81
Cl  0.7921  0.9384  0.7296  1 La 2.81
Cl  0.8111  0.6889  0.0000  1 La 2.91
Cl  0.9384  0.2079  0.2704  1 La 2.81
Cl  0.9384  0.2079  0.7296  1 La 2.81

Properties
- ΔE_f: -48.95 eV per formula unit
- E (MP2020): -5.104 eV per atom
- Space-group type: P4/mbm

***

# 4
GdSe2 | PBE-GGA | relaxed

a = 4.0909 Å, b = 4.0909 Å, c = 8.4252 Å
α = 90.00°, β = 90.00°, γ = 90.00°
With the nearest neighbours (Å) after each atom.
Element x y z (fractional)
Gd  0.2500  0.2500  0.2258  9 Se 3.00-3.09
Gd  0.7500  0.7500  0.7742  9 Se 3.00-3.09
Se  0.2500  0.2500  0.8685  5 Gd 3.00-3.01
Se  0.2500  0.7500  0.5000  4 Se 2.89, 4 Gd 3.09
Se  0.7500  0.2500  0.5000  4 Se 2.89, 4 Gd 3.09
Se  0.7500  0.7500  0.1315  5 Gd 3.00-3.01

Properties
- ΔE_f: -5.74 eV per formula unit
- E (MP2020): -8.936 eV per atom
- Space-group type: P4/nmm

***

# 5
In2PbS4 | PBE-GGA | relaxed

a = 12.0055 Å, b = 3.8924 Å, c = 13.8843 Å
α = 90.00°, β = 90.00°, γ = 90.00°
With the nearest neighbours (Å) after each atom.
Element x y z (fractional)
In  0.0622  0.2500  0.1122  6 S 2.58-2.74
In  0.0845  0.2500  0.5984  6 S 2.62-2.75
In  0.4155  0.7500  0.0984  6 S 2.62-2.75
In  0.4378  0.7500  0.6122  6 S 2.58-2.74
In  0.5622  0.2500  0.3878  6 S 2.58-2.74
In  0.5845  0.2500  0.9016  6 S 2.62-2.75
In  0.9155  0.7500  0.4016  6 S 2.62-2.75
In  0.9378  0.7500  0.8878  6 S 2.58-2.74
Pb  0.2458  0.2500  0.3371  7 S 2.99-3.14
Pb  0.2542  0.7500  0.8371  7 S 2.99-3.14
Pb  0.7458  0.2500  0.1629  7 S 2.99-3.14
Pb  0.7542  0.7500  0.6629  7 S 2.99-3.14
S  0.0457  0.7500  0.7198  3 In 2.62-2.67
S  0.0921  0.2500  0.9280  3 In 2.58-2.74
S  0.1210  0.7500  0.4699  3 In 2.64-2.68
S  0.1996  0.7500  0.1645  3 In 2.65-2.75
S  0.3004  0.2500  0.6645  3 In 2.65-2.75
S  0.3790  0.2500  0.9699  3 In 2.64-2.68
S  0.4079  0.7500  0.4280  3 In 2.58-2.74
S  0.4543  0.2500  0.2198  3 In 2.62-2.67
S  0.5457  0.7500  0.7802  3 In 2.62-2.67
S  0.5921  0.2500  0.5720  3 In 2.58-2.74
S  0.6210  0.7500  0.0301  3 In 2.64-2.68
S  0.6996  0.7500  0.3355  3 In 2.65-2.75
S  0.8004  0.2500  0.8355  3 In 2.65-2.75
S  0.8790  0.2500  0.5301  3 In 2.64-2.68
S  0.9079  0.7500  0.0720  3 In 2.58-2.74
S  0.9543  0.2500  0.2802  3 In 2.62-2.67

Properties
- ΔE_f: -5.73 eV per formula unit
- E (MP2020): -4.499 eV per atom
- Space-group type: Pnma

***

# 6
Ba4Si3Br2 | PBE-GGA | relaxed

a = 15.2559 Å, b = 8.9714 Å, c = 8.9049 Å
α = 90.00°, β = 101.94°, γ = 90.00°
With the nearest neighbours (Å) after each atom.
Element x y z (fractional)
Ba  0.0446  0.2111  0.0212  8 Si 3.33-3.71
Ba  0.0446  0.2889  0.5212  8 Si 3.33-3.71
Ba  0.1457  0.5620  0.8707  1 Br 3.28, 5 Si 3.51-3.67
Ba  0.1457  0.9380  0.3707  1 Br 3.28, 5 Si 3.51-3.67
Ba  0.3307  0.6617  0.2657  4 Br 3.29-3.68, 2 Si 3.37-3.41
Ba  0.3307  0.8383  0.7657  4 Br 3.29-3.68, 2 Si 3.37-3.41
Ba  0.3462  0.1780  0.1185  3 Si 3.25-3.51, 4 Br 3.32-3.61
Ba  0.3462  0.3220  0.6185  3 Si 3.25-3.51, 4 Br 3.32-3.61
Ba  0.6538  0.6780  0.3815  3 Si 3.25-3.51, 4 Br 3.32-3.61
Ba  0.6538  0.8220  0.8815  3 Si 3.25-3.51, 4 Br 3.32-3.61
Ba  0.6693  0.1617  0.2343  4 Br 3.29-3.68, 2 Si 3.37-3.41
Ba  0.6693  0.3383  0.7343  4 Br 3.29-3.68, 2 Si 3.37-3.41
Ba  0.8543  0.0620  0.6293  1 Br 3.28, 5 Si 3.51-3.67
Ba  0.8543  0.4380  0.1293  1 Br 3.28, 5 Si 3.51-3.67
Ba  0.9554  0.7111  0.4788  8 Si 3.33-3.71
Ba  0.9554  0.7889  0.9788  8 Si 3.33-3.71
Si  0.0877  0.5649  0.2393  2 Si 2.41-2.43
Si  0.0877  0.9351  0.7393  2 Si 2.41-2.43
Si  0.1847  0.5676  0.4921  2 Si 2.43-2.48
Si  0.1847  0.9324  0.9921  2 Si 2.43-2.48
Si  0.1978  0.1300  0.8025  2 Si 2.41-2.48
Si  0.1978  0.3700  0.3025  2 Si 2.41-2.48
Si  0.8022  0.6300  0.6975  2 Si 2.41-2.48
Si  0.8022  0.8700  0.1975  2 Si 2.41-2.48
Si  0.8153  0.0676  0.0079  2 Si 2.43-2.48
Si  0.8153  0.4324  0.5079  2 Si 2.43-2.48
Si  0.9123  0.0649  0.2607  2 Si 2.41-2.43
Si  0.9123  0.4351  0.7607  2 Si 2.41-2.43
Br  0.3630  0.5066  0.9464  5 Ba 3.28-3.37
Br  0.3630  0.9934  0.4464  5 Ba 3.28-3.37
Br  0.4925  0.6407  0.6342  5 Ba 3.36-3.68, 1 Br 3.52
Br  0.4925  0.8593  0.1342  5 Ba 3.36-3.68, 1 Br 3.52
Br  0.5075  0.1407  0.8658  5 Ba 3.36-3.68, 1 Br 3.52
Br  0.5075  0.3593  0.3658  5 Ba 3.36-3.68, 1 Br 3.52
Br  0.6370  0.0066  0.5536  5 Ba 3.28-3.37
Br  0.6370  0.4934  0.0536  5 Ba 3.28-3.37

Properties
- ΔE_f: -10.31 eV per formula unit
- E (MP2020): -4.171 eV per atom
- Space-group type: P2_1/c

***

# 7
TiCu2O3 | PBE-GGA | relaxed

a = 8.7814 Å, b = 8.7814 Å, c = 4.9687 Å
α = 101.66°, β = 101.66°, γ = 49.66°
With the nearest neighbours (Å) after each atom.
Element x y z (fractional)
Ti  0.0520  0.7846  0.9781  5 O 1.88-2.04
Ti  0.2154  0.9480  0.5219  5 O 1.88-2.04
Ti  0.7846  0.0520  0.4781  5 O 1.88-2.04
Ti  0.9480  0.2154  0.0219  5 O 1.88-2.04
Cu  0.1356  0.3806  0.7610  2 O 1.82-1.85
Cu  0.3163  0.4978  0.4040  3 O 2.02-2.08
Cu  0.3806  0.1356  0.2610  2 O 1.82-1.85
Cu  0.4978  0.3163  0.9040  3 O 2.02-2.08
Cu  0.5022  0.6837  0.0960  3 O 2.02-2.08
Cu  0.6194  0.8644  0.7390  2 O 1.82-1.85
Cu  0.6837  0.5022  0.5960  3 O 2.02-2.08
Cu  0.8644  0.6194  0.2390  2 O 1.82-1.85
O  0.0662  0.9338  0.7500  2 Ti 1.97
O  0.0732  0.2181  0.7558  1 Cu 1.82, 2 Ti 1.90-2.04
O  0.2033  0.5400  0.7561  2 Cu 1.85-2.04, 1 Ti 1.88
O  0.2181  0.0732  0.2558  1 Cu 1.82, 2 Ti 1.90-2.04
O  0.2885  0.7115  0.2500  2 Ti 2.01, 2 Cu 2.02
O  0.4600  0.7967  0.7439  2 Cu 1.85-2.04, 1 Ti 1.88
O  0.5400  0.2033  0.2561  2 Cu 1.85-2.04, 1 Ti 1.88
O  0.7115  0.2885  0.7500  2 Ti 2.01, 2 Cu 2.02
O  0.7819  0.9268  0.7442  1 Cu 1.82, 2 Ti 1.90-2.04
O  0.7967  0.4600  0.2439  2 Cu 1.85-2.04, 1 Ti 1.88
O  0.9268  0.7819  0.2442  1 Cu 1.82, 2 Ti 1.90-2.04
O  0.9338  0.0662  0.2500  2 Ti 1.97

Properties
- ΔE_f: -11.81 eV per formula unit
- E (MP2020): -7.124 eV per atom
- Space-group type: C2/c